Below is crystalline MgMn6O8F4 at its relaxed geometry, with properties calculated at the PBE+U level.

Uncorrected energy ... -129.4 eV/f.u.
Energy above the most stable polymorph in this dataset ... 55.7 meV per atom

CIF file:
```
data_MgMn6O8F4
_chemical_formula_sum 'Mg1 Mn6 O8 F4'
_symmetry_space_group_name_H-M 'P 1'
_symmetry_Int_Tables_number 1
_symmetry_space_group_name_Hall 'P 1'
_cell_length_a 5.203
_cell_length_b 5.737
_cell_length_c 7.614
_cell_angle_alpha 82.68
_cell_angle_beta 86.96
_cell_angle_gamma 84.66
loop_
_atom_site_label
_atom_site_type_symbol
_atom_site_fract_x
_atom_site_fract_y
_atom_site_fract_z
Mg1 Mg 0.000 0.000 0.000
Mn1 Mn 0.010 0.988 0.509
Mn2 Mn 0.011 0.608 0.828
Mn3 Mn 0.494 0.110 0.805
Mn4 Mn 0.499 0.496 0.516
Mn5 Mn 0.532 0.846 0.202
Mn6 Mn 0.971 0.365 0.194
O1 O 0.152 0.918 0.754
O2 O 0.319 0.420 0.741
O3 O 0.325 0.808 0.422
O4 O 0.669 0.544 0.287
O5 O 0.693 0.849 0.947
O6 O 0.697 0.182 0.595
O7 O 0.869 0.343 0.962
O8 O 0.872 0.047 0.262
F1 F 0.155 0.658 0.089
F2 F 0.178 0.322 0.403
F3 F 0.330 0.124 0.065
F4 F 0.810 0.677 0.602
```



Below is crystalline LiMn3Al2H6O12 at its relaxed geometry, with properties calculated at the PBE+U level.

Uncorrected energy ... -152.0 eV/f.u.
Energy above the most stable polymorph in this dataset ... 21.4 meV per atom

CIF file:
```
data_LiMn3Al2H6O12
_chemical_formula_sum 'Li2 Mn6 Al4 H12 O24'
_symmetry_space_group_name_H-M 'P 1'
_symmetry_Int_Tables_number 1
_symmetry_space_group_name_Hall 'P 1'
_cell_length_a 5.954
_cell_length_b 7.905
_cell_length_c 10.502
_cell_angle_alpha 105.29
_cell_angle_beta 105.78
_cell_angle_gamma 101.92
loop_
_atom_site_label
_atom_site_type_symbol
_atom_site_fract_x
_atom_site_fract_y
_atom_site_fract_z
Li1 Li 0.000 0.000 0.000
Li2 Li 0.317 0.312 0.002
Mn1 Mn 0.080 0.325 0.506
Mn2 Mn 0.237 0.987 0.497
Mn3 Mn 0.409 0.656 0.502
Mn4 Mn 0.576 0.325 0.503
Mn5 Mn 0.738 0.988 0.498
Mn6 Mn 0.907 0.653 0.498
Al1 Al 0.159 0.656 0.001
Al2 Al 0.489 0.994 0.998
Al3 Al 0.658 0.656 0.001
Al4 Al 0.828 0.317 0.003
H1 H 0.013 0.639 0.214
H2 H 0.153 0.314 0.211
H3 H 0.163 0.998 0.791
H4 H 0.309 0.667 0.787
H5 H 0.356 0.960 0.206
H6 H 0.498 0.350 0.801
H7 H 0.503 0.649 0.206
H8 H 0.631 0.014 0.791
H9 H 0.689 0.294 0.211
H10 H 0.810 0.664 0.797
H11 H 0.818 0.964 0.200
H12 H 0.963 0.352 0.796
O1 O 0.020 0.925 0.595
O2 O 0.026 0.399 0.900
O3 O 0.095 0.275 0.108
O4 O 0.124 0.702 0.394
O5 O 0.216 0.585 0.612
O6 O 0.222 0.036 0.893
O7 O 0.291 0.913 0.102
O8 O 0.293 0.388 0.401
O9 O 0.364 0.270 0.607
O10 O 0.372 0.713 0.893
O11 O 0.445 0.606 0.101
O12 O 0.459 0.058 0.400
O13 O 0.536 0.916 0.605
O14 O 0.565 0.399 0.905
O15 O 0.600 0.730 0.391
O16 O 0.627 0.248 0.107
O17 O 0.690 0.064 0.895
O18 O 0.692 0.591 0.602
O19 O 0.752 0.913 0.097
O20 O 0.794 0.383 0.401
O21 O 0.859 0.258 0.606
O22 O 0.872 0.705 0.900
O23 O 0.944 0.064 0.395
O24 O 0.945 0.599 0.109
```